The following is a DFT calculation (PBE) of a relaxed CsKFe4S6 crystal.

Summary:
The total energy is -5.7414 eV per atom. For the spin magnetization, the calculation gives 0.00 μB/atom.

```
data_CsKFe4S6
_cell_length_a 5.1818
_cell_length_b 9.1932
_cell_length_c 11.4681
_cell_angle_alpha 90.00
_cell_angle_beta 90.00
_cell_angle_gamma 90.00
_space_group_name_H-M_alt 'A m m 2'
_space_group_IT_number 38
loop_
_space_group_symop_operation_xyz
'x,y,z'
'-x,-y,z'
'-x,y,z'
'x,-y,z'
'x,y+1/2,z+1/2'
'-x,-y+1/2,z+1/2'
'-x,y+1/2,z+1/2'
'x,-y+1/2,z+1/2'
loop_
_atom_site_label
_atom_site_type_symbol
_atom_site_fract_x
_atom_site_fract_y
_atom_site_fract_z
Cs1 Cs 0.0000 0.0000 0.0000
K1 K 0.5000 0.0000 0.6592
Fe1 Fe 0.2495 0.1384 0.3285
S1 S 0.0000 0.0000 0.4349
S2 S 0.0000 0.2274 0.7263
S3 S 0.5000 0.0000 0.2223
S4 S 0.5000 0.2363 0.9356
```